The following is a DFT calculation (PBE) of a relaxed Nb3Cl8 crystal.

Summary:
SG = P-3m1, No. 164

a = 6.831 Å, b = 6.831 Å, c = 13.749 Å
α = 90.00°, β = 90.00°, γ = 120.00°
Element x y z (fractional)
Cl1 0.834 0.668 0.852
Cl2 0.166 0.332 0.148
Nb1 0.528 0.472 0.247
Cl3 0.668 0.834 0.148
Cl4 0.333 0.667 0.345
Cl5 0.166 0.834 0.148
Cl6 0.834 0.166 0.852
Cl7 0.332 0.166 0.852
Cl8 0.170 0.339 0.633
Cl9 0.667 0.333 0.113
Nb2 0.057 0.528 0.753
Cl10 0.830 0.170 0.367
Cl11 0.339 0.170 0.367
Cl12 0.661 0.830 0.633
Nb3 0.472 0.943 0.753
Nb4 0.528 0.057 0.247
Cl13 0.830 0.661 0.367
Nb5 0.943 0.472 0.247
Nb6 0.472 0.528 0.753
Cl14 0.667 0.333 0.655
Cl15 0.170 0.830 0.633
Cl16 0.333 0.667 0.887

The following is a DFT calculation (PBE) of a relaxed Nb3Cl7 crystal.

Summary:
SG = Cmce, No. 64

a = 9.534 Å, b = 9.534 Å, c = 11.305 Å
α = 90.00°, β = 90.00°, γ = 91.65°
Element x y z (fractional)
Cl1 0.752 0.248 0.500
Cl2 0.399 0.151 0.517
Cl3 0.031 0.784 0.242
Cl4 0.849 0.601 0.483
Nb1 0.871 0.871 0.091
Cl5 0.651 0.899 0.983
Nb2 0.052 0.834 0.888
Cl6 0.617 0.117 0.750
Cl7 0.248 0.752 0.500
Cl8 0.216 0.969 0.758
Cl9 0.748 0.252 0.000
Cl10 0.284 0.531 0.258
Cl11 0.151 0.399 0.517
Nb3 0.166 0.948 0.112
Cl12 0.716 0.469 0.742
Cl13 0.865 0.865 0.735
Cl14 0.601 0.849 0.483
Nb4 0.834 0.052 0.888
Nb5 0.129 0.129 0.909
Cl15 0.469 0.716 0.742
Cl16 0.784 0.031 0.242
Cl17 0.531 0.284 0.258
Cl18 0.969 0.216 0.758
Cl19 0.349 0.101 0.017
Cl20 0.365 0.365 0.765
Nb6 0.371 0.371 0.409
Nb7 0.448 0.666 0.388
Cl21 0.252 0.748 0.000
Cl22 0.883 0.383 0.250
Cl23 0.383 0.883 0.250
Nb8 0.629 0.629 0.591
Nb9 0.948 0.166 0.112
Nb10 0.552 0.334 0.612
Nb11 0.334 0.552 0.612
Cl24 0.635 0.635 0.235
Cl25 0.117 0.617 0.750
Nb12 0.666 0.448 0.388
Cl26 0.101 0.349 0.017
Cl27 0.135 0.135 0.265
Cl28 0.899 0.651 0.983

The following is a DFT calculation (PBE) of a relaxed Nb3Cl6O8 crystal.

Summary:
Energy above the most stable polymorph in this dataset = 0 meV/atom
Total magnetization = 2.00 μB per formula unit
SG = P1, No. 1

a = 11.258 Å, b = 11.761 Å, c = 11.988 Å
α = 88.35°, β = 115.85°, γ = 116.58°
Element x y z (fractional)
Cl1 0.926 0.958 0.533
O1 0.157 0.057 0.214
O2 0.990 0.766 0.768
Cl2 0.444 0.052 0.472
O3 0.133 0.891 0.056
O4 0.136 0.060 0.892
Cl3 0.555 0.570 0.575
O5 0.159 0.219 0.058
Cl4 0.081 0.482 0.049
Nb1 0.001 0.140 0.867
O6 0.840 0.783 0.943
Nb2 0.004 0.131 0.130
Cl5 0.442 0.468 0.048
Cl6 0.558 0.954 0.534
O7 0.997 0.756 0.239
O8 0.843 0.945 0.787
Cl7 0.910 0.516 0.946
Cl8 0.562 0.539 0.956
Nb3 0.998 0.862 0.135
O9 0.865 0.110 0.945
O10 0.001 0.247 0.764
O11 0.503 0.741 0.250
O12 0.010 0.235 0.234
O13 0.864 0.942 0.110
O14 0.511 0.253 0.742
Nb4 0.995 0.871 0.871
Cl9 0.561 0.926 0.933
Nb5 0.710 0.877 0.879
Cl10 0.432 0.067 0.061
Cl11 0.074 0.042 0.469
Cl12 0.447 0.426 0.426
O15 0.560 0.753 0.753
O16 0.443 0.245 0.243
Nb6 0.287 0.121 0.118

The following is a DFT calculation (PBE) of a relaxed Nb3ClO7 crystal.

Summary:
SG = Pnma, No. 62

a = 3.908 Å, b = 11.079 Å, c = 15.862 Å
α = 90.00°, β = 90.00°, γ = 90.00°
Element x y z (fractional)
O1 0.485 0.750 0.525
O2 0.993 0.874 0.433
Nb1 0.951 0.750 0.531
O3 0.998 0.530 0.800
O4 0.493 0.374 0.067
Cl1 0.007 0.750 0.260
O5 0.985 0.250 0.975
O6 0.493 0.116 0.887
O7 0.007 0.384 0.387
Cl2 0.493 0.750 0.760
Nb2 0.999 0.037 0.664
O8 0.007 0.126 0.567
Nb3 0.501 0.037 0.164
O9 0.993 0.626 0.433
O10 0.502 0.530 0.300
Nb4 0.549 0.750 0.031
O11 0.498 0.470 0.700
O12 0.015 0.750 0.025
O13 0.007 0.116 0.387
O14 0.507 0.626 0.933
O15 0.002 0.470 0.200
Nb5 0.001 0.537 0.336
O16 0.002 0.030 0.200
O17 0.993 0.616 0.613
O18 0.007 0.374 0.567
O19 0.507 0.874 0.933
Nb6 0.499 0.963 0.836
O20 0.493 0.126 0.067
Nb7 0.049 0.250 0.469
O21 0.502 0.970 0.300
O22 0.515 0.250 0.475
Nb8 0.999 0.463 0.664
Nb9 0.451 0.250 0.969
Nb10 0.501 0.463 0.164
Cl3 0.993 0.250 0.740
Nb11 0.001 0.963 0.336
O23 0.998 0.970 0.800
O24 0.507 0.616 0.113
O25 0.507 0.884 0.113
Nb12 0.499 0.537 0.836
O26 0.493 0.384 0.887
O27 0.498 0.030 0.700
Cl4 0.507 0.250 0.240
O28 0.993 0.884 0.613

The following is a DFT calculation (PBE) of a relaxed Nb3Cl6O8 crystal.

Summary:
Energy above the most stable polymorph in this dataset = 144 meV/atom
Total magnetization = 1.81 μB per formula unit
SG = Fm-3m, No. 225

a = 11.770 Å, b = 11.770 Å, c = 11.770 Å
α = 60.00°, β = 60.00°, γ = 60.00°
Element x y z (fractional)
Nb1 0.863 0.863 0.137
O1 0.759 0.241 0.241
Cl1 0.000 0.000 0.584
O2 0.921 0.921 0.921
Cl2 0.416 0.000 0.000
Cl3 0.416 0.000 0.584
Cl4 0.000 0.416 0.584
Nb2 0.137 0.863 0.137
O3 0.759 0.759 0.241
Nb3 0.137 0.137 0.863
Cl5 0.000 0.584 0.000
O4 0.750 0.750 0.750
O5 0.250 0.250 0.250
O6 0.241 0.759 0.759
Cl6 0.584 0.416 0.000
O7 0.762 0.079 0.079
Nb4 0.863 0.137 0.863
O8 0.921 0.921 0.238
Cl7 0.000 0.000 0.416
O9 0.241 0.759 0.241
O10 0.079 0.079 0.762
O11 0.921 0.238 0.921
Nb5 0.863 0.137 0.137
O12 0.079 0.079 0.079
Cl8 0.416 0.584 0.000
Cl9 0.000 0.416 0.000
O13 0.238 0.921 0.921
O14 0.241 0.241 0.759
Nb6 0.137 0.863 0.863
Cl10 0.000 0.584 0.416
Cl11 0.584 0.000 0.000
O15 0.079 0.762 0.079
O16 0.759 0.241 0.759
Cl12 0.584 0.000 0.416

The following is a DFT calculation (PBE) of a relaxed Nb3Cl5O2 crystal.

Summary:
SG = Pnnm, No. 58

a = 6.787 Å, b = 8.193 Å, c = 14.858 Å
α = 90.00°, β = 90.00°, γ = 90.00°
Element x y z (fractional)
Cl1 0.000 0.707 0.143
Cl2 0.500 0.207 0.357
O1 0.279 0.491 0.274
Cl3 0.000 0.674 0.887
O2 0.221 0.009 0.774
Cl4 0.500 0.274 0.131
Cl5 0.000 0.293 0.857
Cl6 0.237 0.000 0.000
Cl7 0.500 0.174 0.613
Cl8 0.763 0.000 0.000
Cl9 0.000 0.326 0.113
Nb1 0.289 0.740 0.260
Cl10 0.737 0.500 0.500
Nb2 0.500 0.473 0.636
Nb3 0.711 0.260 0.740
Cl11 0.263 0.500 0.500
Cl12 0.500 0.826 0.387
Cl13 0.000 0.774 0.369
Cl14 0.000 0.210 0.371
Nb4 0.789 0.760 0.760
O3 0.721 0.509 0.726
Cl15 0.500 0.710 0.129
Nb5 0.000 0.027 0.136
O4 0.279 0.509 0.726
Cl16 0.500 0.726 0.869
Cl17 0.000 0.790 0.629
Cl18 0.500 0.290 0.871
Nb6 0.711 0.740 0.260
O5 0.779 0.009 0.774
Nb7 0.211 0.760 0.760
Nb8 0.789 0.240 0.240
Nb9 0.289 0.260 0.740
O6 0.779 0.991 0.226
O7 0.221 0.991 0.226
Cl19 0.500 0.793 0.643
Nb10 0.211 0.240 0.240
Cl20 0.000 0.226 0.631
O8 0.721 0.491 0.274
Nb11 0.000 0.973 0.864
Nb12 0.500 0.527 0.364

The following is a DFT calculation (PBE) of a relaxed Rb2Nb3Cl7O5 crystal.

Summary:
Energy above the most stable polymorph in this dataset = 0 meV/atom
Total magnetization = 0.00 μB per formula unit
SG = C2/c, No. 15

a = 9.751 Å, b = 9.751 Å, c = 11.324 Å
α = 71.35°, β = 71.35°, γ = 55.21°
Element x y z (fractional)
Cl1 0.719 0.578 0.169
O1 0.287 0.711 0.621
Cl2 0.093 0.907 0.250
Cl3 0.363 0.943 0.958
Nb1 0.465 0.535 0.750
O2 0.713 0.289 0.379
Rb1 0.162 0.242 0.144
Cl4 0.281 0.422 0.831
Cl5 0.943 0.363 0.458
Cl6 0.938 0.360 0.875
Rb2 0.758 0.838 0.356
O3 0.396 0.601 0.374
Cl7 0.907 0.093 0.750
O4 0.399 0.604 0.126
Cl8 0.640 0.062 0.625
O5 0.000 0.000 0.500
Cl9 0.062 0.640 0.125
Rb3 0.242 0.162 0.644
Nb2 0.214 0.791 0.026
Cl10 0.057 0.637 0.542
O6 0.711 0.287 0.121
Nb3 0.791 0.214 0.526
Nb4 0.209 0.786 0.474
Nb5 0.786 0.209 0.974
Cl11 0.637 0.057 0.042
O7 0.601 0.396 0.874
Cl12 0.578 0.719 0.669
Rb4 0.838 0.758 0.856
Nb6 0.535 0.465 0.250
O8 0.289 0.713 0.879
Cl13 0.422 0.281 0.331
Cl14 0.360 0.938 0.375
O9 0.604 0.399 0.626
O10 0.000 0.000 0.000

The following is a DFT calculation (PBE) of a relaxed Rb2Nb3Cl7O5 crystal.

Summary:
Energy above the most stable polymorph in this dataset = 13 meV/atom
Total magnetization = 0.00 μB per formula unit
SG = P1, No. 1

a = 9.751 Å, b = 9.751 Å, c = 11.324 Å
α = 71.35°, β = 71.35°, γ = 55.21°
Element x y z (fractional)
Cl1 0.361 0.933 0.374
O1 0.292 0.706 0.621
Cl2 0.645 0.058 0.627
Cl3 0.638 0.054 0.047
Nb1 0.781 0.209 0.976
Cl4 0.584 0.718 0.668
Cl5 0.940 0.365 0.873
Cl6 0.909 0.089 0.754
O2 0.005 0.994 0.500
Cl7 0.088 0.908 0.248
Cl8 0.427 0.276 0.328
Nb2 0.213 0.797 0.024
Cl9 0.719 0.580 0.173
Nb3 0.535 0.462 0.254
Cl10 0.357 0.948 0.960
Nb4 0.205 0.788 0.478
O3 0.712 0.285 0.125
O4 0.291 0.716 0.875
Rb1 0.756 0.844 0.355
O5 0.403 0.604 0.121
O6 0.715 0.287 0.383
Cl11 0.057 0.638 0.126
Rb2 0.841 0.752 0.859
Rb3 0.242 0.157 0.645
O7 0.606 0.390 0.874
Cl12 0.063 0.635 0.542
Nb5 0.794 0.217 0.526
Cl13 0.949 0.358 0.459
Nb6 0.465 0.539 0.746
Rb4 0.158 0.245 0.141
O8 0.995 0.006 0.999
O9 0.400 0.596 0.372
O10 0.598 0.401 0.628
Cl14 0.283 0.417 0.829

The following is a DFT calculation (PBE) of a relaxed SmNb6Cl13O3 crystal.

Summary:
Total magnetization = 0.00 μB per formula unit
SG = I4_122, No. 98

a = 9.526 Å, b = 9.526 Å, c = 28.215 Å
α = 99.72°, β = 99.72°, γ = 90.00°
Element x y z (fractional)
Cl1 0.252 0.585 0.638
Nb1 0.547 0.827 0.932
Nb2 0.253 0.823 0.875
Cl2 0.343 0.675 0.938
Cl3 0.001 0.121 0.624
Cl4 0.835 0.136 0.138
Cl5 0.319 0.319 0.000
Cl6 0.304 0.002 0.138
Cl7 0.415 0.748 0.362
Cl8 0.371 0.373 0.124
Cl9 0.753 0.751 0.124
Nb3 0.177 0.747 0.125
Nb4 0.703 0.645 0.568
Cl10 0.199 0.910 0.439
Nb5 0.895 0.615 0.068
Nb6 0.173 0.453 0.068
Nb7 0.211 0.500 0.178
Sm1 0.094 0.094 0.189
Cl11 0.998 0.696 0.862
Cl12 0.290 0.619 0.811
Sm2 0.344 0.844 0.689
Cl13 0.569 0.431 0.500
Cl14 0.497 0.377 0.376
O1 0.150 0.897 0.325
O2 0.175 0.428 0.325
O3 0.865 0.865 0.730
Cl15 0.946 0.614 0.362
Cl16 0.960 0.558 0.689
Sm3 0.906 0.906 0.811
O4 0.075 0.853 0.175
O5 0.385 0.885 0.770
Cl17 0.808 0.480 0.189
Nb8 0.283 0.250 0.322
Nb9 0.628 0.927 0.625
Cl18 0.738 0.405 0.062
Cl19 0.240 0.530 0.439
Cl20 0.325 0.657 0.062
Cl21 0.623 0.503 0.624
Cl22 0.681 0.681 0.000
Cl23 0.749 0.749 0.498
Nb10 0.039 0.072 0.322
Cl24 0.090 0.801 0.561
Cl25 0.442 0.040 0.311
Cl26 0.907 0.488 0.562
Cl27 0.864 0.165 0.862
Nb11 0.947 0.378 0.125
Cl28 0.386 0.054 0.638
Cl29 0.381 0.710 0.189
Cl30 0.780 0.949 0.939
Nb12 0.622 0.053 0.875
Cl31 0.470 0.760 0.561
Cl32 0.051 0.220 0.061
Cl33 0.512 0.093 0.438
Nb13 0.077 0.135 0.432
Cl34 0.655 0.075 0.562
O6 0.572 0.825 0.675
Nb14 0.928 0.961 0.678
O7 0.147 0.925 0.825
Nb15 0.750 0.717 0.678
Cl35 0.879 0.999 0.376
Cl36 0.125 0.122 0.750
Nb16 0.385 0.105 0.932
Cl37 0.010 0.840 0.061
Cl38 0.595 0.262 0.938
O8 0.115 0.615 0.230
Nb17 0.303 0.003 0.375
Cl39 0.249 0.247 0.876
Cl40 0.625 0.628 0.750
O9 0.135 0.135 0.270
Nb18 0.997 0.697 0.625
Cl41 0.869 0.270 0.311
Nb19 0.865 0.923 0.568
Cl42 0.925 0.345 0.438
Cl43 0.730 0.131 0.689
Nb20 0.500 0.789 0.822
Nb21 0.967 0.678 0.178
Nb22 0.322 0.033 0.822
O10 0.678 0.900 0.825
Cl44 0.520 0.192 0.811
Cl45 0.160 0.990 0.939
Cl46 0.999 0.499 0.998
Nb23 0.073 0.372 0.375
Cl47 0.501 0.001 0.002
Cl48 0.878 0.875 0.250
Nb24 0.355 0.297 0.432
Cl49 0.372 0.375 0.250
Cl50 0.931 0.069 0.500
O11 0.100 0.322 0.175
Cl51 0.251 0.251 0.502
Sm4 0.156 0.656 0.311
O12 0.103 0.850 0.675
Cl52 0.627 0.629 0.876

| no. | raw total energy (eV/atom) | E_form (kJ/mol of atoms) |
| --- | --- | --- |
| 1 | -5.369 | -166 |
| 2 | -5.572 | -162 |
| 3 | -5.915 | -142 |
| 4 | -8.485 | -275 |
| 5 | -5.771 | -128 |
| 6 | -6.580 | -171 |
| 7 | -6.120 | -213 |
| 8 | -6.108 | -212 |
| 9 | -6.209 | -171 |